Record 1
DFT (PBE) results for a relaxed structure of Hf2OsRu.

Calculated values
space-group type	Fm-3m (225)
crystal system	cubic
ΔE_f	-0.77	eV/atom

Unit cell a=4.6040 b=4.6040 c=4.6040 alpha=60.00 beta=60.00 gamma=60.00
With the nearest neighbours (Å) after each atom.
Atoms (fractional coordinates):
Ru 0.0000 0.0000 0.0000  8 Hf 2.82
Hf 0.2500 0.2500 0.2500  4 Ru 2.82, 4 Os 2.82
Hf 0.7500 0.7500 0.7500  4 Os 2.82, 4 Ru 2.82
Os 0.5000 0.5000 0.5000  8 Hf 2.82

***

Record 2
DFT (PBE) results for a relaxed structure of NaBiTeO5.

Calculated values
space-group type	P2_1/c (14)
crystal system	monoclinic
ΔE_f	-1.73	eV/atom

Unit cell a=6.3575 b=7.3983 c=9.9129 alpha=90.00 beta=90.00 gamma=107.29
With the nearest neighbours (Å) after each atom.
Atoms (fractional coordinates):
O 0.8890 0.2229 0.9555  2 Te 2.01-2.03
O 0.3890 0.2229 0.5445  2 Te 2.01-2.03
O 0.6110 0.7771 0.4555  2 Te 2.01-2.03
O 0.3982 0.9026 0.6792  1 Te 1.95
O 0.8982 0.9026 0.8208  1 Te 1.95
O 0.3944 0.4600 0.3164  1 Te 1.93
O 0.1998 0.4919 0.5507  1 Te 1.96
O 0.6056 0.5400 0.6836  1 Te 1.93
O 0.7139 0.8656 0.0690  1 Te 1.92
O 0.8002 0.5081 0.4493  1 Te 1.96
O 0.1110 0.7771 0.0445  2 Te 2.01-2.03
O 0.8944 0.4600 0.1836  1 Te 1.93
O 0.7861 0.1344 0.5690  1 Te 1.92
O 0.1056 0.5400 0.8164  1 Te 1.93
O 0.6018 0.0974 0.3208  1 Te 1.95
O 0.6998 0.4919 0.9493  1 Te 1.96
O 0.3002 0.5081 0.0507  1 Te 1.96
O 0.2861 0.1344 0.9310  1 Te 1.92
O 0.1018 0.0974 0.1792  1 Te 1.95
O 0.2139 0.8656 0.4310  1 Te 1.92
Na 0.0984 0.2323 0.7176  6 O 2.40-2.63
Na 0.4016 0.7677 0.2176  6 O 2.40-2.63
Na 0.5984 0.2323 0.7824  6 O 2.40-2.63
Na 0.9016 0.7677 0.2824  6 O 2.40-2.63
Bi 0.9558 0.2902 0.3690  4 O 2.27-2.38
Bi 0.4558 0.2902 0.1310  4 O 2.27-2.38
Bi 0.5442 0.7098 0.8690  4 O 2.27-2.38
Bi 0.0442 0.7098 0.6310  4 O 2.27-2.38
Te 0.0000 0.5000 0.0000  6 O 1.93-2.01
Te 0.0000 0.0000 0.0000  6 O 1.92-2.03
Te 0.5000 0.0000 0.5000  6 O 1.92-2.03
Te 0.5000 0.5000 0.5000  6 O 1.93-2.01

***

Record 3
DFT (PBE) results for a relaxed structure of Nb4Co2PdSe12.

Calculated values
space-group type	C2/m (12)
crystal system	monoclinic
ΔE_f	-1.00	eV/atom

Unit cell a=6.9167 b=6.9167 c=19.3740 alpha=72.43 beta=72.43 gamma=28.77
With the nearest neighbours (Å) after each atom.
Atoms (fractional coordinates):
Nb 0.6204 0.6204 0.8511  6 Se 2.55-2.66
Nb 0.2566 0.2566 0.4047  6 Se 2.56-2.73
Nb 0.3796 0.3796 0.1489  6 Se 2.55-2.66
Nb 0.7434 0.7434 0.5953  6 Se 2.56-2.73
Se 0.8098 0.8098 0.0725  1 Pd 2.50, 2 Nb 2.62
Se 0.1902 0.1902 0.9275  1 Pd 2.50, 2 Nb 2.62
Se 0.3768 0.3768 0.6126  1 Co 2.36, 2 Nb 2.58
Se 0.8697 0.8697 0.4542  3 Nb 2.66-2.73
Se 0.1905 0.1905 0.2332  2 Co 2.40, 1 Nb 2.55
Se 0.8095 0.8095 0.7668  2 Co 2.40, 1 Nb 2.55
Se 0.1303 0.1303 0.5458  3 Nb 2.66-2.73
Se 0.9652 0.9652 0.8816  1 Pd 2.48, 2 Nb 2.62
Se 0.5998 0.5998 0.7189  2 Co 2.42, 2 Nb 2.56-2.66
Se 0.4002 0.4002 0.2811  2 Co 2.42, 2 Nb 2.56-2.66
Se 0.0348 0.0348 0.1184  1 Pd 2.48, 2 Nb 2.62
Se 0.6232 0.6232 0.3874  1 Co 2.36, 2 Nb 2.58
Co 0.2276 0.2276 0.7169  5 Se 2.36-2.42
Co 0.7724 0.7724 0.2831  5 Se 2.36-2.42
Pd 0.0000 0.0000 0.0000  4 Se 2.48-2.50